The following is a PBE with a Hubbard U calculation of a relaxed Li32Mn11Cr5O48 crystal, from the Materials Project.

Results
E above lowest polymorph = 0.000 eV per atom
space-group type = P1

Cell lengths 5.0067, 5.0065, 38.4484 Å; angles 91.02, 91.03, 119.67 degrees
Closest atoms and distances in Å follow each position.
Positions (direct):
Cr1 0.4825 0.6419 0.4375  6 O 1.90-1.98
Cr2 0.7329 0.8921 0.1875  6 O 1.90-1.98
Cr3 0.8580 0.0174 0.5625  6 O 1.90-1.98
Cr4 0.6078 0.7671 0.8125  6 O 1.90-1.98
Cr5 0.6422 0.4832 0.9375  6 O 1.90-1.98
O1 0.9289 0.4291 0.7160  2 Mn 1.95, 4 Li 2.04-2.14
O2 0.3233 0.4613 0.9655  1 Cr 1.90, 1 Mn 1.95, 2 Li 2.06-2.11
O3 0.8195 0.3202 0.5340  1 Mn 1.94, 1 Cr 1.97, 4 Li 2.04-2.14
O4 0.9114 0.0542 0.6595  2 Mn 1.93-1.95, 2 Li 2.06-2.08
O5 0.9691 0.8274 0.9659  1 Mn 1.92, 1 Cr 1.98, 3 Li 2.05-2.16
O6 0.6960 0.8384 0.0905  2 Mn 1.93-1.95, 2 Li 2.06-2.09
O7 0.1800 0.6809 0.4659  1 Mn 1.95, 1 Cr 1.97, 4 Li 2.03-2.14
O8 0.0541 0.5540 0.0909  2 Mn 1.95, 4 Li 2.04-2.14
O9 0.0772 0.2190 0.2159  1 Mn 1.92, 1 Cr 1.98, 2 Li 2.06-2.07
O10 0.4061 0.5477 0.1591  1 Mn 1.92, 1 Cr 1.98, 2 Li 2.05-2.07
O11 0.3211 0.8208 0.0340  2 Mn 1.95, 4 Li 2.04-2.14
O12 0.5318 0.6733 0.5342  1 Mn 1.93, 1 Cr 1.98, 2 Li 2.06-2.08
O13 0.9443 0.4437 0.9090  1 Mn 1.95, 1 Cr 1.97, 4 Li 2.04-2.16
O14 0.1955 0.6959 0.6590  2 Mn 1.95, 4 Li 2.04-2.14
O15 0.2018 0.3435 0.5908  1 Mn 1.93, 1 Cr 1.97, 2 Li 2.06-2.08
O16 0.1556 0.2979 0.4091  1 Mn 1.92, 1 Cr 1.98, 2 Li 2.05-2.07
O17 0.2977 0.1561 0.9092  1 Mn 1.92, 1 Cr 1.98, 3 Li 2.06-2.15
O18 0.9518 0.0940 0.8408  1 Mn 1.93, 1 Cr 1.98, 3 Li 2.05-2.14
O19 0.6811 0.1799 0.9660  1 Mn 1.94, 1 Cr 1.97, 4 Li 2.03-2.15
O20 0.7865 0.9292 0.2845  2 Mn 1.93-1.95, 2 Li 2.06-2.09
O21 0.4458 0.5885 0.3405  2 Mn 1.93-1.95, 2 Li 2.06-2.09
O22 0.4611 0.3225 0.4654  1 Cr 1.90, 1 Mn 1.95, 2 Li 2.06-2.11
O23 0.3048 0.8055 0.8410  1 Mn 1.95, 1 Cr 1.97, 4 Li 2.04-2.15
O24 0.8041 0.3041 0.3410  2 Mn 1.95, 4 Li 2.04-2.14
O25 0.9272 0.7887 0.7846  1 Cr 1.90, 1 Mn 1.95, 2 Li 2.06-2.11
O26 0.0366 0.1795 0.0346  2 Mn 1.93-1.95, 2 Li 2.06-2.08
O27 0.5864 0.4478 0.8405  1 Cr 1.90, 1 Mn 1.95, 2 Li 2.06-2.11
O28 0.0707 0.5710 0.2840  2 Mn 1.95, 4 Li 2.04-2.14
O29 0.3388 0.1953 0.0904  2 Mn 1.93-1.94, 2 Li 2.06-2.08
O30 0.5551 0.0558 0.5910  1 Mn 1.95, 1 Cr 1.97, 4 Li 2.03-2.14
O31 0.0884 0.9454 0.3404  2 Mn 1.93-1.94, 2 Li 2.06-2.08
O32 0.6793 0.5366 0.0345  2 Mn 1.93-1.95, 2 Li 2.06-2.09
O33 0.8273 0.9688 0.4659  1 Mn 1.92, 1 Cr 1.98, 2 Li 2.06-2.07
O34 0.4442 0.9454 0.4090  1 Mn 1.95, 1 Cr 1.97, 4 Li 2.03-2.14
O35 0.4295 0.2866 0.2846  2 Mn 1.93-1.95, 2 Li 2.06-2.08
O36 0.4301 0.9311 0.2161  1 Mn 1.95, 1 Cr 1.97, 4 Li 2.03-2.15
O37 0.8363 0.6974 0.5905  1 Cr 1.90, 1 Mn 1.95, 2 Li 2.06-2.11
O38 0.1782 0.0386 0.5346  1 Cr 1.91, 1 Mn 1.94, 2 Li 2.06-2.10
O39 0.7110 0.5730 0.2155  1 Cr 1.90, 1 Mn 1.95, 2 Li 2.06-2.12
O40 0.5542 0.4116 0.6596  2 Mn 1.93-1.95, 2 Li 2.06-2.09
O41 0.6938 0.1947 0.1590  1 Mn 1.95, 1 Cr 1.97, 4 Li 2.04-2.15
O42 0.6640 0.8020 0.9095  1 Cr 1.90, 1 Mn 1.95, 2 Li 2.07-2.12
O43 0.2813 0.4229 0.7841  1 Mn 1.92, 1 Cr 1.98, 2 Li 2.05-2.07
O44 0.8016 0.6637 0.4095  1 Cr 1.90, 1 Mn 1.95, 2 Li 2.06-2.12
O45 0.0520 0.9137 0.1595  1 Cr 1.90, 1 Mn 1.95, 2 Li 2.06-2.11
O46 0.2132 0.0705 0.7154  2 Mn 1.93-1.95, 2 Li 2.06-2.09
O47 0.5691 0.0701 0.7840  1 Mn 1.94, 1 Cr 1.97, 4 Li 2.04-2.15
O48 0.5706 0.7135 0.7155  2 Mn 1.93-1.95, 2 Li 2.06-2.09
Li1 0.7492 0.2494 0.2501  6 O 2.03-2.19
Li2 0.0656 0.5608 0.1875  6 O 2.07-2.12
Li3 0.4606 0.2846 0.3750  6 O 2.05-2.21
Li4 0.8146 0.3098 0.4375  6 O 2.07-2.12
Li5 0.2168 0.0399 0.6252  6 O 2.06-2.22
Li6 0.9704 0.7925 0.8750  6 O 2.05-2.23
Li7 0.4088 0.5870 0.2502  6 O 2.06-2.21
Li8 0.9988 0.5001 0.0001  6 O 2.03-2.20
Li9 0.3101 0.8149 0.9376  6 O 2.07-2.12
Li10 0.5837 0.4083 0.7498  6 O 2.05-2.23
Li11 0.4374 0.9376 0.3125  6 O 2.08-2.11
Li12 0.0912 0.9144 0.2501  6 O 2.06-2.22
Li13 0.5336 0.7107 0.6250  6 O 2.06-2.21
Li14 0.7101 0.5340 0.1249  6 O 2.05-2.22
Li15 0.9142 0.0917 0.7500  6 O 2.06-2.22
Li16 0.3752 0.8750 0.1249  6 O 2.04-2.19
Li17 0.8389 0.6628 0.4999  6 O 2.06-2.21
Li18 0.0388 0.2161 0.1248  6 O 2.06-2.21
Li19 0.8741 0.3749 0.6251  6 O 2.03-2.19
Li20 0.9396 0.4359 0.8125  6 O 2.07-2.12
Li21 0.5625 0.0623 0.6875  6 O 2.08-2.11
Li22 0.1258 0.6249 0.3750  6 O 2.03-2.19
Li23 0.6875 0.1876 0.0625  6 O 2.08-2.11
Li24 0.1892 0.6871 0.5625  6 O 2.08-2.12
Li25 0.7877 0.9658 0.3749  6 O 2.06-2.21
Li26 0.1616 0.3398 0.5001  6 O 2.06-2.18
Li27 0.6255 0.1252 0.8749  6 O 2.04-2.19
Li28 0.6669 0.8428 0.0002  6 O 2.05-2.23
Li29 0.4992 0.9987 0.5000  6 O 2.03-2.20
Li30 0.2513 0.7497 0.7499  6 O 2.04-2.20
Li31 0.2791 0.4569 0.8747  6 O 2.06-2.24
Li32 0.3353 0.1570 0.0000  6 O 2.06-2.22
Mn1 0.7704 0.6047 0.3125  6 O 1.93-1.95
Mn2 0.0204 0.8546 0.0625  6 O 1.93-1.95
Mn3 0.3950 0.2299 0.1875  6 O 1.92-1.95
Mn4 0.1448 0.9798 0.4374  6 O 1.92-1.95
Mn5 0.2294 0.3953 0.6875  6 O 1.93-1.95
Mn6 0.3549 0.5203 0.0625  6 O 1.93-1.95
Mn7 0.9801 0.1452 0.9376  6 O 1.92-1.95
Mn8 0.8951 0.7297 0.6875  6 O 1.93-1.95
Mn9 0.1046 0.2703 0.3125  6 O 1.93-1.95
Mn10 0.5205 0.3548 0.5625  6 O 1.93-1.95
Mn11 0.2701 0.1048 0.8125  6 O 1.92-1.95

The following is a PBE with a Hubbard U calculation of a relaxed LiMn2C4O12 crystal, from the Materials Project.

Results
E above lowest polymorph = 0.021 eV per atom
space-group type = P2_1

Cell lengths 9.7413, 7.3315, 8.4592 Å; angles 69.77, 90.00, 90.00 degrees
Closest atoms and distances in Å follow each position.
Positions (direct):
O1 0.1159 0.9889 0.7944  1 C 1.30
O2 0.3735 0.4658 0.3105  1 C 1.30
O3 0.1503 0.3652 0.1377  1 C 1.28
O4 0.8516 0.1289 0.3430  1 C 1.29
O5 0.4630 0.6348 0.4517  1 C 1.26
O6 0.4020 0.0855 0.0928  1 C 1.31
O7 0.5988 0.4264 0.3906  1 C 1.30
O8 0.0988 0.5736 0.6094  1 C 1.30
O9 0.6159 0.0111 0.2056  1 C 1.30
O10 0.6503 0.6348 0.8623  1 C 1.28
O11 0.5278 0.8644 0.0396  1 C 1.26
O12 0.9020 0.9145 0.9072  1 C 1.31
O13 0.9630 0.3652 0.5483  1 C 1.26
O14 0.3135 0.0725 0.3979  1 C 1.30
O15 0.1964 0.6128 0.9006  1 C 1.30
O16 0.6964 0.3872 0.0994  1 C 1.30
O17 0.0278 0.1356 0.9604  1 C 1.26
O18 0.8735 0.5342 0.6895  1 C 1.30
O19 0.8135 0.9275 0.6021  1 C 1.30
O20 0.5280 0.0409 0.5137  1 C 1.29
O21 0.0280 0.9591 0.4863  1 C 1.29
O22 0.9761 0.5306 0.9914  1 C 1.31
O23 0.4761 0.4694 0.0086  1 C 1.31
O24 0.3516 0.8711 0.6570  1 C 1.29
Mn1 0.6414 0.1983 0.3236  5 O 1.96-2.10
Mn2 0.1414 0.8017 0.6764  5 O 1.96-2.10
Mn3 0.3532 0.2844 0.1850  5 O 1.94-2.06
Mn4 0.8532 0.7156 0.8150  5 O 1.94-2.06
Li1 0.9345 0.2394 0.1174  3 O 1.97-2.07
Li2 0.4345 0.7606 0.8826  3 O 1.97-2.07
C1 0.1088 0.5059 0.0084  3 O 1.28-1.31
C2 0.5163 0.9862 0.1133  3 O 1.26-1.31
C3 0.3992 0.9965 0.5201  3 O 1.29-1.30
C4 0.9797 0.4922 0.6156  3 O 1.26-1.30
C5 0.0163 0.0138 0.8867  3 O 1.26-1.31
C6 0.4797 0.5078 0.3844  3 O 1.26-1.30
C7 0.6088 0.4941 0.9916  3 O 1.28-1.31
C8 0.8992 0.0035 0.4799  3 O 1.29-1.30

The following is a PBE with a Hubbard U calculation of a relaxed LiNbWO6 crystal, from the Materials Project.

Results
E above lowest polymorph = 0.085 eV per atom
space-group type = Imma

Cell lengths 7.3896, 7.3896, 7.3896 Å; angles 120.48, 119.66, 89.88 degrees
Closest atoms and distances in Å follow each position.
Positions (direct):
O1 0.0631 0.9327 0.7520  1 W 1.93, 1 Nb 2.00
O2 0.6943 0.9443 0.7500  2 W 1.95
O3 0.9369 0.0673 0.2480  1 W 1.93, 1 Nb 2.00
O4 0.3057 0.0557 0.2500  2 W 1.95
O5 0.9221 0.6721 0.2500  2 Nb 2.01
O6 0.0779 0.3279 0.7500  2 Nb 2.01
O7 0.6807 0.9327 0.3696  1 W 1.93, 1 Nb 2.00
O8 0.9369 0.6889 0.8696  1 W 1.93, 1 Nb 2.00
O9 0.6807 0.3111 0.7480  1 W 1.93, 1 Nb 2.00
O10 0.3193 0.0673 0.6304  1 W 1.93, 1 Nb 2.00
O11 0.0631 0.3111 0.1304  1 W 1.93, 1 Nb 2.00
O12 0.3193 0.6889 0.2520  1 W 1.93, 1 Nb 2.00
Nb1 0.0000 0.5000 0.0000  6 O 2.00-2.01
Nb2 0.0000 0.0000 0.5000  6 O 2.00-2.01
Li1 0.0000 0.5000 0.5000  6 O 2.59-2.65
Li2 0.5000 0.5000 0.0000  6 O 2.59-2.65
W1 0.5000 0.0000 0.5000  6 O 1.93-1.95
W2 0.0000 0.0000 0.0000  6 O 1.93-1.95

The following is a PBE with a Hubbard U calculation of a relaxed V3OF11 crystal, from the Materials Project.

Results
E above lowest polymorph = 0.030 eV per atom
space-group type = P1

Cell lengths 5.2763, 5.4574, 14.7959 Å; angles 100.28, 90.05, 90.02 degrees
Closest atoms and distances in Å follow each position.
Positions (direct):
F1 0.1985 0.3104 0.0248  2 V 1.97
F2 0.9144 0.0419 0.1171  1 V 1.77
F3 0.2874 0.4702 0.3574  2 V 1.93-2.00
F4 0.2079 0.9707 0.3566  1 V 1.86
F5 0.7095 0.8580 0.3088  2 V 1.95-1.97
F6 0.0921 0.6342 0.2182  1 V 1.78
F7 0.0907 0.2955 0.5515  1 V 1.85
F8 0.4238 0.1286 0.2165  1 V 1.76
F9 0.2028 0.6376 0.6916  2 V 1.95-1.98
F10 0.4149 0.4582 0.8831  1 V 1.76
F11 0.7966 0.0313 0.6407  2 V 1.93-2.00
F12 0.6984 0.1898 0.9754  2 V 1.97
F13 0.2932 0.1373 0.6908  2 V 1.96
F14 0.5878 0.8762 0.7816  1 V 1.76
F15 0.5873 0.2145 0.4503  1 V 1.76
F16 0.4192 0.7897 0.5485  1 V 1.76
F17 0.9264 0.7267 0.4499  1 V 1.78
F18 0.7073 0.5281 0.6408  2 V 1.94-1.98
F19 0.8013 0.6904 0.9754  2 V 1.97
F20 0.0858 0.9591 0.8833  1 V 1.76
F21 0.3016 0.8101 0.0245  2 V 1.97
F22 0.5870 0.5419 0.1171  1 V 1.77
O1 0.9185 0.3781 0.7814  1 V 1.63
O2 0.7958 0.3754 0.3111  1 V 1.64
V1 0.9910 0.3333 0.6729  1 O 1.63
V2 0.9750 0.6260 0.3303  1 O 1.64, 2 F 1.78
V3 0.0000 0.0000 0.0000  6 F 1.76-1.97
V4 0.4903 0.1552 0.3346  3 F 1.76-1.86
V5 0.4999 0.5000 0.0001  6 F 1.76-1.97
V6 0.4956 0.8315 0.6657  4 F 1.76-1.96

The following is a PBE with a Hubbard U calculation of a relaxed K5Na3Nb5W3O24 crystal, from the Materials Project.

Results
space-group type = P1

Cell lengths 8.0559, 8.0567, 8.0574 Å; angles 89.99, 89.70, 89.98 degrees
Closest atoms and distances in Å follow each position.
Positions (direct):
O1 0.4980 0.7478 0.9974  1 Nb 2.00, 1 W 2.04
O2 0.9995 0.0005 0.2510  2 W 2.02-2.03
O3 0.2485 0.4995 0.9958  2 Nb 2.00-2.02
O4 0.4997 0.4995 0.2511  2 Nb 2.01-2.03
O5 0.7537 0.0017 0.5015  1 W 1.98, 1 Nb 2.05
O6 0.0006 0.2455 0.9965  1 W 1.98, 1 Nb 2.04
O7 0.5011 0.0003 0.2467  1 W 1.99, 1 Nb 2.06
O8 0.0019 0.4984 0.7516  2 Nb 1.99-2.02
O9 0.2509 0.4995 0.5041  2 Nb 2.00-2.02
O10 0.0028 0.0019 0.7491  2 W 2.00-2.01
O11 0.7490 0.4983 0.5027  2 Nb 2.01-2.02
O12 0.4971 0.0018 0.7518  1 W 2.00, 1 Nb 2.01
O13 0.0004 0.2522 0.5042  1 Nb 1.99, 1 W 2.03
O14 0.0019 0.7476 0.5026  1 Nb 2.00, 1 W 2.04
O15 0.4998 0.2520 0.9957  1 Nb 1.99, 1 W 2.03
O16 0.7515 0.4984 0.9975  2 Nb 2.01-2.03
O17 0.7482 0.0021 0.9987  2 W 2.00-2.03
O18 0.4995 0.2472 0.5037  2 Nb 1.99-2.03
O19 0.2470 0.0005 0.5045  1 W 1.99, 1 Nb 2.03
O20 0.0003 0.4996 0.2484  2 Nb 2.01-2.04
O21 0.4982 0.7530 0.5027  2 Nb 1.99-2.04
O22 0.0016 0.7552 0.9973  1 W 1.97, 1 Nb 2.06
O23 0.2517 0.0003 0.9942  2 W 2.00-2.02
O24 0.4981 0.4984 0.7491  2 Nb 2.00-2.01
Nb1 0.4998 0.4996 0.9986  6 O 1.99-2.03
Nb2 0.4991 0.0003 0.5025  6 O 1.99-2.06
Nb3 0.4995 0.4995 0.5011  6 O 2.00-2.04
Nb4 0.0006 0.4990 0.9987  6 O 1.99-2.06
Nb5 0.0003 0.4996 0.5013  6 O 1.99-2.04
K1 0.7511 0.7491 0.2491  12 O 2.84-2.88
K2 0.7510 0.2509 0.2491  12 O 2.84-2.88
K3 0.2490 0.7497 0.2490  12 O 2.84-2.88
K4 0.2491 0.2503 0.2490  12 O 2.84-2.89
K5 0.7509 0.7498 0.7511  12 O 2.84-2.88
W1 0.0004 0.0000 0.9986  6 O 1.97-2.03
W2 0.0000 0.0004 0.5011  6 O 1.98-2.04
W3 0.4997 0.0004 0.9998  6 O 1.99-2.04
Na1 0.7511 0.2506 0.7511  12 O 2.82-2.86
Na2 0.2488 0.7493 0.7511  12 O 2.80-2.85
Na3 0.2488 0.2507 0.7510  12 O 2.81-2.83

The following is a PBE with a Hubbard U calculation of a relaxed Li2MnF4 crystal, from the Materials Project.

Results
E above lowest polymorph = 0.025 eV per atom
space-group type = Pmmn

Cell lengths 5.0712, 5.8100, 10.4904 Å; angles 90.00, 90.00, 90.00 degrees
Closest atoms and distances in Å follow each position.
Positions (direct):
F1 0.7998 0.5000 0.3494  3 Li 2.04-2.06, 1 Mn 2.08
F2 0.3334 0.2491 0.6285  2 Li 2.00-2.12, 2 Mn 2.21-2.23
F3 0.1462 0.5000 0.8561  3 Li 1.93-1.97, 1 Mn 2.09
F4 0.8538 0.0000 0.6439  3 Li 1.93-1.97, 1 Mn 2.09
F5 0.3334 0.7509 0.6285  2 Li 2.00-2.12, 2 Mn 2.21-2.23
F6 0.6666 0.2509 0.8715  2 Li 2.00-2.12, 2 Mn 2.21-2.23
F7 0.3334 0.7509 0.3715  2 Li 2.00-2.12, 2 Mn 2.21-2.23
F8 0.6666 0.7491 0.8715  2 Li 2.00-2.12, 2 Mn 2.21-2.23
F9 0.3334 0.2491 0.3715  2 Li 2.00-2.12, 2 Mn 2.21-2.23
F10 0.2002 0.0000 0.1506  3 Li 2.04-2.06, 1 Mn 2.08
F11 0.1462 0.5000 0.1439  3 Li 1.93-1.97, 1 Mn 2.09
F12 0.6666 0.7491 0.1285  2 Li 2.00-2.12, 2 Mn 2.21-2.23
F13 0.6666 0.2509 0.1285  2 Li 2.00-2.12, 2 Mn 2.21-2.23
F14 0.2002 0.0000 0.8494  3 Li 2.04-2.06, 1 Mn 2.08
F15 0.8538 0.0000 0.3561  3 Li 1.93-1.97, 1 Mn 2.09
F16 0.7998 0.5000 0.6506  3 Li 2.04-2.06, 1 Mn 2.08
Li1 0.5131 0.0000 0.7268  4 F 1.93-2.04
Li2 0.4869 0.5000 0.7732  4 F 1.93-2.04
Li3 0.4869 0.5000 0.2268  4 F 1.93-2.04
Li4 0.0000 0.7500 0.7500  6 F 1.97-2.12
Li5 0.0000 0.2500 0.7500  6 F 1.97-2.12
Li6 0.0000 0.2500 0.2500  6 F 1.97-2.12
Li7 0.5131 0.0000 0.2732  4 F 1.93-2.04
Li8 0.0000 0.7500 0.2500  6 F 1.97-2.12
Mn1 0.4675 0.0000 0.0000  6 F 2.08-2.23
Mn2 0.5325 0.5000 0.5000  6 F 2.08-2.23
Mn3 0.8609 0.5000 0.0000  6 F 2.09-2.21
Mn4 0.1391 0.0000 0.5000  6 F 2.09-2.21

| no. | ΔE_f (eV per atom) |
| --- | --- |
| 1 | -2.196 |
| 2 | -1.795 |
| 3 | -2.485 |
| 4 | -2.867 |
| 5 | -2.590 |
| 6 | -3.033 |